1.
Material: Ce2NiSn4
Method: DFT, r2SCAN
State: optimized geometry

Results
calculated volume: 178.5 Å³/cell
formation enthalpy at 0 K: -0.65 eV per atom
mass density: 7.57 Mg/m³

Cell lengths 4.4963, 4.5279, 9.0570 Å; angles 75.52, 90.00, 90.00 degrees
Element x y z (fractional)
Ni 0.2500 0.6885 0.6230
Sn 0.7500 0.7557 0.4886
Sn 0.7500 0.4401 0.1198
Sn 0.2500 0.2568 0.4864
Sn 0.2500 0.5461 0.9078
Ce 0.7500 0.1041 0.7917
Ce 0.2500 0.8933 0.2134

=====

2.
Material: Dy3C4
Method: DFT, r2SCAN
State: optimized geometry

Results
calculated volume: 1043.6 Å³/cell
formation enthalpy at 0 K: -0.50 eV per atom
mass density: 8.52 Mg/m³

Cell lengths 8.0920, 8.0920, 15.9382 Å; angles 90.00, 90.00, 90.00 degrees
Element x y z (fractional)
C 0.3062 0.0988 0.3270
C 0.6056 0.1957 0.5000
C 0.4012 0.1938 0.8270
C 0.8062 0.4012 0.1730
C 0.1938 0.5988 0.8270
C 0.1957 0.3944 0.5000
C 0.8498 0.3498 0.7500
C 0.5000 0.5000 0.6568
C 0.1502 0.6502 0.7500
C 0.8944 0.6957 0.0000
C 0.5000 0.5000 0.0409
C 0.4012 0.1938 0.1730
C 0.6938 0.9012 0.3270
C 0.6957 0.1056 0.0000
C 0.3944 0.8043 0.5000
C 0.0988 0.6938 0.6730
C 0.6502 0.8498 0.2500
C 0.1056 0.3043 0.0000
C 0.1502 0.6502 0.2500
C 0.8062 0.4012 0.8270
C 0.5988 0.8062 0.8270
C 0.0000 0.0000 0.5409
C 0.9012 0.3062 0.3270
C 0.3498 0.1502 0.7500
C 0.5000 0.5000 0.3432
C 0.0000 0.0000 0.1568
C 0.3062 0.0988 0.6730
C 0.0000 0.0000 0.4591
C 0.8043 0.6056 0.5000
C 0.6502 0.8498 0.7500
C 0.5988 0.8062 0.1730
C 0.0000 0.0000 0.8432
C 0.5000 0.5000 0.9591
C 0.6938 0.9012 0.6730
C 0.1938 0.5988 0.1730
C 0.9012 0.3062 0.6730
C 0.3498 0.1502 0.2500
C 0.8498 0.3498 0.2500
C 0.3043 0.8944 0.0000
C 0.0988 0.6938 0.3270
Dy 0.0998 0.2884 0.8533
Dy 0.2970 0.0954 0.5000
Dy 0.0998 0.2884 0.1467
Dy 0.7116 0.0998 0.1467
Dy 0.5954 0.7970 0.0000
Dy 0.0000 0.0000 0.3127
Dy 0.5000 0.5000 0.5000
Dy 0.4046 0.2030 0.0000
Dy 0.2884 0.9002 0.1467
Dy 0.5998 0.2116 0.6467
Dy 0.5000 0.5000 0.1873
Dy 0.7884 0.5998 0.3533
Dy 0.0000 0.0000 0.6873
Dy 0.7116 0.0998 0.8533
Dy 0.5000 0.5000 0.8127
Dy 0.5998 0.2116 0.3533
Dy 0.0954 0.7030 0.5000
Dy 0.2030 0.5954 0.0000
Dy 0.9046 0.2970 0.5000
Dy 0.7884 0.5998 0.6467
Dy 0.0000 0.0000 0.0000
Dy 0.7970 0.4046 0.0000
Dy 0.2116 0.4002 0.6467
Dy 0.2884 0.9002 0.8533
Dy 0.4002 0.7884 0.3533
Dy 0.9002 0.7116 0.8533
Dy 0.9002 0.7116 0.1467
Dy 0.4002 0.7884 0.6467
Dy 0.7030 0.9046 0.5000
Dy 0.2116 0.4002 0.3533

=====

3.
Material: MoI3
Method: DFT, r2SCAN
State: optimized geometry

Results
calculated volume: 381.5 Å³/cell
formation enthalpy at 0 K: -0.12 eV per atom
mass density: 4.15 Mg/m³

Cell lengths 10.7945, 10.7945, 3.7811 Å; angles 90.00, 90.00, 120.00 degrees
Element x y z (fractional)
I 0.2194 0.4388 0.2500
I 0.4389 0.2194 0.7500
I 0.2194 0.7806 0.2500
I 0.5612 0.7806 0.2500
I 0.7806 0.5611 0.7500
I 0.7806 0.2194 0.7500
Mo 0.3333 0.6667 0.7500
Mo 0.6667 0.3333 0.2500